Entry 1:
NdB2Ru2: optimized geometry, PBE.

Geometry as extended XYZ:
```
40
Lattice="-7.919 -0.104 -2.451 -2.388 -1.559 7.784 4.393 11.901 -0.682" Properties=species:S:1:pos:R:3 pbc="T T T"
Ru -0.067 11.281 0.440
B -2.236 9.528 4.981
Ru 2.301 10.548 5.434
B -5.905 3.927 2.810
Ru -5.886 5.391 -0.947
B -3.588 0.724 -0.377
Ru -5.032 5.271 1.311
Nd -5.940 1.546 5.108
Ru -8.641 -1.495 5.657
Nd 0.215 7.548 5.993
Ru -3.806 11.373 -1.505
B 0.424 4.774 0.507
Ru -3.240 4.586 4.560
B -1.998 -0.019 4.376
Ru -2.778 5.356 0.442
Ru -1.870 4.548 6.551
Ru -3.662 5.911 -1.738
Nd -4.746 2.325 1.217
B 0.836 10.869 -1.325
Nd -3.744 7.496 4.767
Nd -1.981 1.598 6.334
Ru -1.681 0.048 -0.285
Ru 0.107 4.706 5.169
Ru -1.293 5.179 3.256
Ru -6.715 -0.705 1.991
B -8.428 0.096 1.269
B -5.042 3.738 4.195
Nd -0.787 2.377 2.442
Nd 1.410 8.328 2.101
Nd -2.550 8.276 0.876
B -1.136 6.282 1.565
Ru -1.438 10.640 3.490
B 2.562 10.128 3.471
B 0.257 6.527 0.731
B -5.935 5.682 3.076
B -6.839 -0.647 6.022
B -1.065 4.554 1.165
Ru -3.607 -0.741 3.381
B -5.251 5.464 4.553
B -3.963 10.269 0.186
```

Computed properties:
* raw total energy: -6.890 eV/atom
* space group: I4_1/acd (142)
* E_form: 445 meV per atom
* theoretical density: 6.31 g/cm³
* total magnetization: 1.3 Bohr magnetons per cell

***

Entry 2:
NiB12: optimized geometry, PBE.

Geometry as extended XYZ:
```
13
Lattice="-3.374 -2.171 3.368 -4.891 1.841 0.361 -4.012 -2.855 -1.786" Properties=species:S:1:pos:R:3 pbc="T T T"
B -5.840 -3.188 0.242
B -4.992 -0.855 -0.173
B -4.477 -2.218 0.848
B -5.623 -2.955 1.992
B -4.776 -0.623 1.578
B -7.501 -2.562 0.364
B -6.653 -0.230 -0.050
Ni 0.000 0.000 0.000
B -6.437 0.002 1.700
B -5.922 -1.360 2.721
B -6.355 -1.825 -0.779
B -7.284 -2.330 2.115
B -7.799 -0.967 1.093
```

Computed properties:
* raw total energy: -6.354 eV/atom
* space group: Fm-3m (225)
* E_form: 257 meV per atom
* theoretical density: 3.08 g/cm³
* total magnetization: 0.0 Bohr magnetons per cell

***

Entry 3:
NiB: optimized geometry, PBE.

Geometry as extended XYZ:
```
4
Lattice="1.475 -3.674 0.000 1.475 3.674 0.000 0.000 0.000 2.972" Properties=species:S:1:pos:R:3 pbc="T T T"
B 1.475 -0.492 0.743
Ni 1.475 2.594 2.229
B 1.475 0.492 2.229
Ni 1.475 -2.594 0.743
```

Computed properties:
* raw total energy: -6.472 eV/atom
* space group: Cmcm (63)
* E_form: -242 meV per atom
* theoretical density: 7.17 g/cm³

***

Entry 4:
Ni23B6: optimized geometry, PBE.

Geometry as extended XYZ:
```
29
Lattice="0.000 5.207 5.207 5.207 0.000 5.207 5.207 5.207 0.000" Properties=species:S:1:pos:R:3 pbc="T T T"
B 5.207 7.565 5.207
Ni 3.444 1.763 5.207
Ni 3.444 0.000 3.444
B 5.207 5.207 2.849
Ni 1.763 0.000 1.763
Ni 7.810 7.810 7.810
Ni 3.973 6.440 3.973
B 7.565 5.207 5.207
Ni 1.763 5.207 3.444
Ni 1.763 3.444 5.207
Ni 5.207 3.444 1.763
Ni 3.973 3.973 3.973
Ni 1.763 1.763 0.000
Ni 3.973 6.440 6.440
B 5.207 2.849 5.207
Ni 5.207 1.763 3.444
Ni 6.440 6.440 6.440
Ni 0.000 3.444 3.444
Ni 3.973 3.973 6.440
Ni 6.440 6.440 3.973
Ni 6.440 3.973 6.440
Ni 2.603 2.603 2.603
Ni 6.440 3.973 3.973
Ni 0.000 0.000 0.000
Ni 3.444 5.207 1.763
B 5.207 5.207 7.565
Ni 0.000 1.763 1.763
B 2.849 5.207 5.207
Ni 3.444 3.444 0.000
```

Computed properties:
* raw total energy: -6.158 eV/atom
* space group: Fm-3m (225)
* E_form: -192 meV per atom
* theoretical density: 8.32 g/cm³
* total magnetization: 0.2 Bohr magnetons per cell

***

- The highest E_form belongs to which entry?
  NdB2Ru2

***

Copy entry 3 word for word.
NiB: optimized geometry, PBE.

Geometry as extended XYZ:
```
4
Lattice="1.475 -3.674 0.000 1.475 3.674 0.000 0.000 0.000 2.972" Properties=species:S:1:pos:R:3 pbc="T T T"
B 1.475 -0.492 0.743
Ni 1.475 2.594 2.229
B 1.475 0.492 2.229
Ni 1.475 -2.594 0.743
```

Computed properties:
* raw total energy: -6.472 eV/atom
* space group: Cmcm (63)
* E_form: -242 meV per atom
* theoretical density: 7.17 g/cm³